# 1
# Bi2O3

A relaxed structure of Bi2O3 (PBE-GGA, the Materials Project database).

Properties
Its crystal system is cubic. The calculated total energy comes out at -0.4214 Ry/atom.

CIF file:
```
data_Bi2O3
_symmetry_space_group_name_H-M 'P a -3'
_symmetry_Int_Tables_number 205
_symmetry_space_group_name_Hall '-P 2ac 2ab 3'
_cell_length_a 11.4136
_cell_length_b 11.4136
_cell_length_c 11.4136
_cell_angle_alpha 90.00
_cell_angle_beta 90.00
_cell_angle_gamma 90.00
loop_
_atom_site_label
_atom_site_type_symbol
_atom_site_fract_x
_atom_site_fract_y
_atom_site_fract_z
Bi1 Bi 0.0084 0.2413 0.9768
Bi2 Bi 0.2448 0.2448 0.2448
O1 O 0.0877 0.6352 0.3821
O2 O 0.1044 0.1362 0.3194
```



# 2
# BiO2

A relaxed structure of BiO2 (PBE-GGA, the Materials Project database).

Properties
Its crystal system is hexagonal. The calculated total energy comes out at -0.3947 Ry/atom.

CIF file:
```
data_BiO2
_symmetry_space_group_name_H-M 'P 63/m m c'
_symmetry_Int_Tables_number 194
_symmetry_space_group_name_Hall '-P 6c 2c'
_cell_length_a 3.5653
_cell_length_b 3.5653
_cell_length_c 11.1422
_cell_angle_alpha 90.00
_cell_angle_beta 90.00
_cell_angle_gamma 120.00
loop_
_atom_site_label
_atom_site_type_symbol
_atom_site_fract_x
_atom_site_fract_y
_atom_site_fract_z
Bi1 Bi 0.0000 0.0000 0.0000
O1 O 0.3333 0.6667 0.0873
```



Question: Look up the calculated total energy of the first one.
Answer: -0.4214 Ry/atom